Material: ZnH12C2S2N4Cl2O4
Method: DFT, PBE
State: optimized geometry

Output
E in eV per atom: -5.105
Total magnetic moment in μB per formula unit: 0.04

Unit cell a=14.4721 b=4.9362 c=9.3912 alpha=90.00 beta=90.00 gamma=90.00
Last column: nearest neighbours and their distance in Å.
Positions (direct):
Zn 0.0000 0.0900 0.0000  2 N 2.12, 2 Cl 2.22-2.27
Zn 0.5000 0.9100 0.5000  2 N 2.12, 2 Cl 2.22-2.27
H 0.0874 0.5104 0.5648  1 C 1.10
H 0.1077 0.4180 0.1434  1 N 1.03
H 0.1303 0.7439 0.4311  1 C 1.10
H 0.1662 0.3465 0.8564  1 N 1.03
H 0.1668 0.1370 0.1001  1 N 1.03
H 0.1693 0.7647 0.6143  1 C 1.10
H 0.3307 0.2354 0.1143  1 C 1.10
H 0.3332 0.8630 0.6001  1 N 1.03
H 0.3338 0.6535 0.3564  1 N 1.03
H 0.3697 0.2561 0.9311  1 C 1.10
H 0.3923 0.5820 0.6434  1 N 1.03
H 0.4126 0.4896 0.0648  1 C 1.10
H 0.5874 0.4896 0.0648  1 C 1.10
H 0.6077 0.5820 0.6434  1 N 1.03
H 0.6303 0.2561 0.9311  1 C 1.10
H 0.6662 0.6535 0.3564  1 N 1.03
H 0.6668 0.8630 0.6001  1 N 1.03
H 0.6693 0.2354 0.1143  1 C 1.10
H 0.8307 0.7647 0.6143  1 C 1.10
H 0.8332 0.1370 0.1001  1 N 1.03
H 0.8338 0.3465 0.8564  1 N 1.03
H 0.8697 0.7439 0.4311  1 C 1.10
H 0.8923 0.4180 0.1434  1 N 1.03
H 0.9126 0.5104 0.5648  1 C 1.10
C 0.1467 0.6303 0.5281  3 H 1.10
C 0.3533 0.3697 0.0281  3 H 1.10
C 0.6467 0.3697 0.0281  3 H 1.10
C 0.8533 0.6303 0.5281  3 H 1.10
S 0.2353 0.3922 0.4903  2 O 1.44-1.45
S 0.2647 0.6078 0.9903  2 O 1.44-1.45
S 0.7353 0.6078 0.9903  2 O 1.44-1.45
S 0.7647 0.3922 0.4903  2 O 1.44-1.45
N 0.1239 0.2871 0.0617  2 H 1.03
N 0.1664 0.4439 0.9527  1 H 1.03
N 0.3336 0.5561 0.4527  1 H 1.03
N 0.3761 0.7129 0.5617  2 H 1.03
N 0.6239 0.7129 0.5617  2 H 1.03
N 0.6664 0.5561 0.4527  1 H 1.03
N 0.8336 0.4439 0.9527  1 H 1.03
N 0.8761 0.2871 0.0617  2 H 1.03
Cl 0.0000 0.0811 0.7637  1 Zn 2.22
Cl 0.0000 0.7822 0.1797  1 Zn 2.27, 2 H 2.40
Cl 0.5000 0.2178 0.6797  1 Zn 2.27, 2 H 2.40
Cl 0.5000 0.9189 0.2637  1 Zn 2.22
O 0.2135 0.2471 0.3612  1 S 1.44
O 0.2462 0.7570 0.1208  1 S 1.45
O 0.2538 0.2430 0.6208  1 S 1.45
O 0.2865 0.7529 0.8612  1 S 1.44
O 0.7135 0.7529 0.8612  1 S 1.44
O 0.7462 0.2430 0.6208  1 S 1.45
O 0.7538 0.7570 0.1208  1 S 1.45
O 0.7865 0.2471 0.3612  1 S 1.44